r2SCAN Ac2MgGa, relaxed; electronic total energy = -154.0 eV per cell; magnetization = 0.00 μB/cell; E_form = -0.268 eV per atom
1.0
0.0000 4.0102 4.0102
4.0102 0.0000 4.0102
4.0102 4.0102 0.0000
Ac Mg Ga
2 1 1
Direct
0.2500 0.2500 0.2500 Ac
0.7500 0.7500 0.7500 Ac
0.0000 0.0000 0.0000 Mg
0.5000 0.5000 0.5000 Ga